This record from Materials Project describes a relaxed structure of LiVP2HO8. The functional is GGA+U.

Lattice parameters (Å, degrees): 4.8748 8.0124 7.4810 90.00 105.04 90.00
Fractional coordinates of all 26 atoms:
O  0.8594  0.4434  0.1530
O  0.1738  0.8334  0.3650
O  0.3605  0.0533  0.6539
Li  0.4004  0.8730  0.8538
O  0.1395  0.5533  0.8461
O  0.2379  0.9426  0.0537
H  0.5390  0.5114  0.5137
P  0.1333  0.3478  0.2689
Li  0.0996  0.3730  0.6461
O  0.3261  0.3334  0.1350
O  0.8373  0.1764  0.6403
O  0.6626  0.6764  0.8597
V  0.5090  0.4984  0.0147
O  0.7468  0.0493  0.9366
H  0.9610  0.0114  0.9862
O  0.7532  0.5493  0.5634
O  0.0389  0.1731  0.3145
V  0.9911  0.9984  0.4854
P  0.8756  0.6565  0.7396
O  0.5213  0.3261  0.8136
P  0.6244  0.1565  0.7604
O  0.4610  0.6731  0.1855
O  0.6407  0.9434  0.3471
O  0.9786  0.8261  0.6864
O  0.2621  0.4426  0.4463
P  0.3668  0.8478  0.2312

Properties
Magnetic moment: 0.08 μB per atom
Polymorph energy (0 for the lowest one): 1.4 meV per atom
Electronic total energy: -6.91 eV/atom

This record from Materials Project describes a relaxed structure of LiVP3HO10. The functional is GGA+U.

Lattice parameters (Å, degrees): 6.4328 6.5168 6.3625 72.96 106.19 93.46
Fractional coordinates of all 16 atoms:
O  0.6526  0.3273  0.0551
O  0.3310  0.6502  0.9519
H  0.2383  0.2180  0.9734
V  0.6531  0.6515  0.0021
P  0.5532  0.1898  0.9010
O  0.2950  0.1827  0.8500
O  0.9692  0.6576  0.0280
O  0.6525  0.9710  0.9678
O  0.6987  0.5897  0.3464
P  0.1875  0.5446  0.1067
O  0.3009  0.5870  0.3601
Li  0.2041  0.2004  0.4949
O  0.1826  0.2985  0.1653
O  0.5916  0.6987  0.6573
P  0.5531  0.5608  0.4996
O  0.5694  0.3051  0.6406

Properties
Magnetic moment: 0.12 μB per atom
Polymorph energy (0 for the lowest one): 15.8 meV per atom
Electronic total energy: -6.98 eV/atom

This record from Materials Project describes a relaxed structure of Li2V2P7HO24. The functional is GGA+U.

Lattice parameters (Å, degrees): 18.0149 4.9908 10.4644 83.57 90.00 90.00
Fractional coordinates of all 72 atoms:
O  0.0794  0.4881  0.1591
O  0.8358  0.3352  0.0258
O  0.9255  0.6801  0.4458
O  0.4506  0.6345  0.7167
P  0.8739  0.8380  0.5366
V  0.9769  0.8226  0.8060
O  0.5794  0.5119  0.8409
O  0.2500  0.1840  0.2293
O  0.1644  0.3252  0.7472
O  0.5494  0.3655  0.2833
V  0.4769  0.1774  0.1940
O  0.5745  0.6801  0.4458
O  0.4206  0.4881  0.1591
O  0.1642  0.6648  0.9742
O  0.0250  0.7395  0.9598
P  0.9036  0.2811  0.9529
O  0.0745  0.3199  0.5542
P  0.4142  0.3560  0.7065
O  0.6799  0.5950  0.5950
O  0.8318  0.0652  0.4687
Li  0.2500  0.8723  0.6467
O  0.5750  0.9063  0.6451
O  0.5980  0.0145  0.8888
O  0.3318  0.9348  0.5313
O  0.0494  0.6345  0.7167
P  0.0964  0.7189  0.0471
H  0.7500  0.1110  0.7480
O  0.2500  0.6874  0.2333
O  0.4684  0.1401  0.7736
Li  0.2500  0.4651  0.9419
O  0.1682  0.9348  0.5313
P  0.0858  0.3560  0.7065
O  0.1799  0.4050  0.4050
O  0.0316  0.1401  0.7736
P  0.4036  0.7189  0.0471
P  0.5858  0.6440  0.2935
O  0.8356  0.6748  0.2528
O  0.7500  0.3126  0.7667
O  0.4250  0.0937  0.3549
O  0.9250  0.9063  0.6451
O  0.9750  0.2605  0.0402
Li  0.7500  0.1277  0.3533
O  0.3356  0.3252  0.7472
O  0.3358  0.6648  0.9742
O  0.9684  0.8599  0.2264
P  0.3739  0.1620  0.4634
P  0.7500  0.5891  0.6898
O  0.6682  0.0652  0.4687
O  0.6642  0.3352  0.0258
V  0.5231  0.8226  0.8060
P  0.2500  0.4109  0.3102
O  0.5250  0.2605  0.0402
O  0.9020  0.0145  0.8888
O  0.3201  0.4050  0.4050
O  0.4255  0.3199  0.5542
O  0.8201  0.5950  0.5950
H  0.2500  0.8890  0.2520
O  0.0750  0.0937  0.3549
P  0.9142  0.6440  0.2935
O  0.4020  0.9855  0.1112
O  0.9506  0.3655  0.2833
V  0.0231  0.1774  0.1940
O  0.0980  0.9855  0.1112
P  0.5964  0.2811  0.9529
P  0.1261  0.1620  0.4634
O  0.4750  0.7395  0.9598
Li  0.7500  0.5349  0.0581
O  0.9206  0.5119  0.8409
O  0.7500  0.8160  0.7707
O  0.6644  0.6748  0.2528
P  0.6261  0.8380  0.5366
O  0.5316  0.8599  0.2264

Properties
Magnetic moment: 0.00 μB per atom
Electronic total energy: -6.97 eV/atom

This record from Materials Project describes a relaxed structure of LiVP2H5O9. The functional is GGA+U.

Lattice parameters (Å, degrees): 6.4592 7.8691 15.1398 90.00 90.00 90.00
Fractional coordinates of all 72 atoms:
O  0.8040  0.7475  0.9010
Li  0.2721  0.7615  0.5302
O  0.7923  0.0673  0.1019
H  0.8942  0.1447  0.7745
H  0.7839  0.6454  0.4051
O  0.6841  0.2487  0.2911
P  0.1424  0.0655  0.3673
H  0.8957  0.3522  0.7749
O  0.1960  0.2475  0.0990
H  0.9935  0.0049  0.4929
O  0.7395  0.7513  0.1124
O  0.2923  0.5673  0.3981
O  0.2395  0.2513  0.3876
H  0.7152  0.8489  0.9035
O  0.0798  0.0558  0.2712
O  0.5798  0.5558  0.2288
H  0.7161  0.6454  0.9051
O  0.9416  0.0531  0.4284
O  0.7001  0.4363  0.6014
O  0.3159  0.7487  0.7089
H  0.2848  0.3489  0.0965
P  0.3576  0.0655  0.8673
P  0.8576  0.5655  0.6327
O  0.5625  0.4446  0.9287
O  0.7077  0.0673  0.6019
O  0.7605  0.7513  0.6124
H  0.6043  0.3522  0.2749
O  0.4416  0.5531  0.0716
O  0.5584  0.0531  0.9284
O  0.2999  0.9363  0.3986
H  0.2839  0.1454  0.0949
H  0.5065  0.0049  0.9929
O  0.9219  0.9442  0.7295
Li  0.7721  0.2615  0.9698
H  0.0065  0.5049  0.5071
O  0.9375  0.4446  0.4287
H  0.7848  0.8489  0.4035
V  0.4384  0.7494  0.3091
O  0.9202  0.5558  0.7288
O  0.5781  0.9442  0.2295
P  0.8669  0.9374  0.6318
V  0.9384  0.2494  0.1909
P  0.3669  0.4374  0.8682
H  0.1043  0.8522  0.2251
O  0.4219  0.4442  0.7705
O  0.0625  0.9446  0.5713
H  0.3942  0.6447  0.7255
H  0.2152  0.3489  0.5965
H  0.3957  0.8522  0.7251
O  0.4375  0.9446  0.0713
Li  0.7279  0.2615  0.4698
O  0.4202  0.0558  0.7712
O  0.1841  0.7487  0.2089
O  0.8159  0.2487  0.7911
O  0.3040  0.2475  0.5990
V  0.0616  0.7494  0.8091
O  0.0584  0.5531  0.5716
H  0.6058  0.1447  0.2745
O  0.2077  0.5673  0.8981
O  0.7999  0.4363  0.1014
H  0.4935  0.5049  0.0071
V  0.5616  0.2494  0.6909
O  0.2605  0.2513  0.8876
P  0.6424  0.5655  0.1327
H  0.1058  0.6447  0.2255
H  0.2161  0.1454  0.5949
Li  0.2279  0.7615  0.0302
P  0.1331  0.4374  0.3682
O  0.6960  0.7475  0.4010
O  0.2001  0.9363  0.8986
O  0.0781  0.4442  0.2705
P  0.6331  0.9374  0.1318

Properties
Magnetic moment: 0.17 μB per atom
Electronic total energy: -6.24 eV/atom

This record from Materials Project describes a relaxed structure of LiVP2HO8. The functional is GGA+U.

Lattice parameters (Å, degrees): 7.4745 7.9837 9.7158 90.04 105.46 90.04
Fractional coordinates of all 52 atoms:
O  0.6812  0.8256  0.4776
V  0.0003  0.5095  0.7537
O  0.6448  0.1742  0.4210
O  0.4447  0.4431  0.6288
O  0.8092  0.3239  0.7557
O  0.3460  0.9470  0.8186
O  0.8435  0.5515  0.5675
O  0.1442  0.3271  0.6727
O  0.3624  0.8275  0.5826
O  0.9486  0.0620  0.8822
O  0.1843  0.6729  0.2321
P  0.7692  0.1520  0.3173
H  0.4917  0.4962  0.7403
O  0.3177  0.1725  0.5174
O  0.0622  0.9552  0.6244
O  0.9398  0.0443  0.3770
O  0.0531  0.9401  0.1209
O  0.1414  0.3307  0.1676
P  0.2381  0.8457  0.1871
O  0.8131  0.3222  0.2592
P  0.2641  0.3427  0.5662
O  0.5598  0.5465  0.8706
O  0.3116  0.1764  0.0076
Li  0.6456  0.3691  0.5460
Li  0.1437  0.1310  0.7975
O  0.6442  0.1708  0.9204
O  0.6499  0.0508  0.1825
O  0.8602  0.6723  0.3307
O  0.5609  0.5433  0.3691
P  0.2643  0.3478  0.0640
O  0.1460  0.4418  0.4338
P  0.7334  0.6499  0.9346
P  0.7672  0.1516  0.8141
O  0.6874  0.8234  0.9885
H  0.0083  0.9932  0.5125
Li  0.6478  0.3686  0.0468
H  0.5007  0.4977  0.2500
P  0.2362  0.8448  0.6830
O  0.8629  0.6722  0.8354
O  0.4469  0.4405  0.1286
O  0.3602  0.8320  0.0827
O  0.1819  0.6733  0.7277
V  0.4994  0.9941  0.0009
O  0.1458  0.4448  0.9301
V  0.0102  0.4968  0.2538
O  0.8451  0.5499  0.0706
P  0.7325  0.6526  0.4325
Li  0.8572  0.8698  0.2087
O  0.3489  0.9451  0.3202
O  0.6484  0.0519  0.6821
H  0.0100  0.9942  0.0138
V  0.5000  0.9940  0.5015

Properties
Magnetic moment: 0.08 μB per atom
Polymorph energy (0 for the lowest one): 5.3 meV per atom
Electronic total energy: -6.91 eV/atom

This record from Materials Project describes a relaxed structure of Li2VPHO5. The functional is GGA+U.

Lattice parameters (Å, degrees): 5.3862 7.6847 10.8421 78.06 100.95 72.71
Fractional coordinates of all 40 atoms:
P  0.6336  0.6934  0.0653
O  0.1588  0.4963  0.8370
P  0.8660  0.8067  0.4345
O  0.2478  0.1478  0.9225
V  0.2499  0.7502  0.7496
H  0.3884  0.2769  0.3619
Li  0.2240  0.5365  0.1479
V  0.7498  0.2500  0.2503
O  0.0954  0.1803  0.4214
O  0.4047  0.3191  0.0789
V  0.4998  0.5001  0.4999
H  0.6116  0.7230  0.6382
Li  0.7241  0.0367  0.6482
V  0.0003  0.9998  0.0000
O  0.7479  0.6477  0.4226
H  0.1099  0.2233  0.1379
O  0.6398  0.2543  0.8998
O  0.5776  0.6058  0.6706
Li  0.2758  0.9633  0.3518
O  0.3422  0.0039  0.6632
O  0.9045  0.8202  0.5784
O  0.8604  0.2456  0.6003
O  0.4224  0.3942  0.3294
Li  0.5183  0.9983  0.8460
H  0.8902  0.7765  0.8621
Li  0.7760  0.4634  0.8521
O  0.1396  0.7544  0.3997
O  0.2521  0.3523  0.5775
Li  0.4818  0.0016  0.1540
O  0.6579  0.9961  0.3367
O  0.3604  0.7456  0.1003
P  0.1339  0.1934  0.5654
P  0.3663  0.3065  0.9348
Li  0.0181  0.4992  0.3457
O  0.5953  0.6808  0.9211
O  0.7522  0.8522  0.0776
O  0.0761  0.1061  0.1704
Li  0.9819  0.5006  0.6544
O  0.9239  0.8939  0.8296
O  0.8412  0.5037  0.1630

Properties
Magnetic moment: 0.15 μB per atom
Polymorph energy (0 for the lowest one): 0.0 meV per atom
Electronic total energy: -6.52 eV/atom

Question: The lowest electronic total energy belongs to which entry?
Answer: LiVP3HO10

Question: Which of these has the lowest magnetic moment?
Answer: Li2V2P7HO24